No. 1
A plane-wave DFT calculation with PBE was carried out for a relaxed B10Pb3O20 crystal.

Values from the calculation:
**Calculated density**: 4.87 g/cm3
**ΔH_f (0 K)**: -2.426 eV/atom

a b c (Å): 9.7632 17.0555 8.5993
angles (deg): 90.00 91.13 90.00
Closest atoms and distances in Å follow each position.
Space group Cc (No. 9)
Unique sites:
B  0.0000  0.0152  0.0000 x4  4 O 1.46-1.51
B  0.0472  0.2943  0.2854 x4  3 O 1.37-1.41
B  0.1226  0.4916  0.1992 x4  3 O 1.35-1.40
B  0.1731  0.2493  0.0590 x4  4 O 1.45-1.54
B  0.2115  0.0953  0.0463 x4  4 O 1.45-1.52
B  0.3480  0.1295  0.2812 x4  3 O 1.38-1.39
B  0.4037  0.1847  0.0185 x4  4 O 1.45-1.50
B  0.4464  0.2003  0.5107 x4  4 O 1.45-1.52
B  0.4465  0.4321  0.7683 x4  3 O 1.37-1.40
B  0.4629  0.3449  0.5389 x4  4 O 1.44-1.52
Pb  0.1820  0.3025  0.7016 x4  6 O 2.36-2.63
Pb  0.2909  0.0728  0.6944 x4  4 O 2.21-2.41
Pb  0.3902  0.3746  0.1865 x4  4 O 2.18-2.36
O  0.0329  0.3020  0.4432 x4  2 B 1.37-1.45
O  0.0892  0.3024  0.9669 x4  2 B 1.45
O  0.1093  0.1577  0.6787 x4  2 Pb 2.21-2.29
O  0.1172  0.1659  0.0293 x4  3 B 1.52-1.54
O  0.1493  0.0247  0.9829 x4  2 B 1.45-1.48
O  0.1649  0.2632  0.2268 x4  2 B 1.37-1.47
O  0.1796  0.4172  0.1943 x4  1 B 1.39
O  0.1936  0.4404  0.7048 x4  1 B 1.35
O  0.2453  0.0840  0.2148 x4  2 B 1.38-1.49
O  0.3146  0.2563  0.0068 x4  2 B 1.47-1.50
O  0.3317  0.1151  0.9571 x4  2 B 1.45-1.47
O  0.3632  0.1368  0.4406 x4  2 B 1.38-1.47
O  0.3891  0.2787  0.4774 x4  2 B 1.44-1.47
O  0.4271  0.4141  0.4466 x4  2 B 1.46-1.47
O  0.4336  0.1725  0.1871 x4  2 B 1.39-1.49
O  0.4336  0.3582  0.7068 x4  2 B 1.37-1.50
O  0.4372  0.1861  0.6847 x4  2 B 1.41-1.52
O  0.4477  0.4438  0.9268 x4  2 B 1.38-1.46
O  0.4729  0.4956  0.6706 x4  2 B 1.40-1.51
O  0.4802  0.0014  0.7063 x4  1 B 1.40


No. 2
A plane-wave DFT calculation with PBE was carried out for a relaxed B4Pb6O13 crystal.

Values from the calculation:
**Calculated density**: 7.09 g/cm3
**ΔH_f (0 K)**: -2.007 eV/atom

a b c (Å): 14.2065 12.9686 7.6017
angles (deg): 90.00 90.00 90.00
Closest atoms and distances in Å follow each position.
Space group Pnma (No. 62)
Unique sites:
B  0.0271  0.2500  0.2150 x4  4 O 1.45-1.51
B  0.0291  0.2500  0.5283 x4  4 O 1.46-1.51
B  0.0622  0.6127  0.6241 x8  3 O 1.38-1.39
Pb  0.0631  0.1005  0.8580 x8  4 O 2.38-2.59
Pb  0.2035  0.0102  0.3548 x8  4 O 2.19-2.44
Pb  0.2423  0.2500  0.1029 x4  3 O 2.24-2.30
Pb  0.2438  0.7500  0.1224 x4  5 O 2.42-2.55
O  0.0334  0.6561  0.4659 x8  2 B 1.39-1.51
O  0.0335  0.6543  0.7821 x8  2 B 1.38-1.51
O  0.0828  0.2500  0.0552 x4  1 B 1.45
O  0.0891  0.2500  0.3712 x4  2 B 1.47-1.48
O  0.0891  0.2500  0.6834 x4  1 B 1.46
O  0.1222  0.5283  0.6215 x8  1 B 1.39
O  0.1932  0.5651  0.0616 x8  2 Pb 2.27-2.44
O  0.2278  0.1407  0.8757 x8  4 Pb 2.19-2.43


No. 3
A plane-wave DFT calculation with PBE was carried out for a relaxed B10Pb6O21 crystal.

Values from the calculation:
**Calculated density**: 5.82 g/cm3
**ΔH_f (0 K)**: -2.459 eV/atom

a b c (Å): 6.9534 7.1045 11.4052
angles (deg): 82.98 77.85 60.93
Closest atoms and distances in Å follow each position.
Space group P-1 (No. 2)
Unique sites:
B  0.0279  0.1718  0.0754 x2  3 O 1.35-1.41
B  0.0553  0.9317  0.7037 x2  4 O 1.45-1.53
B  0.2226  0.6766  0.2574 x2  3 O 1.37-1.41
B  0.2833  0.6290  0.5555 x2  3 O 1.37-1.39
B  0.3318  0.9646  0.2016 x2  4 O 1.45-1.53
Pb  0.1537  0.3553  0.8028 x2  3 O 2.33-2.57
Pb  0.2551  0.2384  0.4326 x2  4 O 2.33-2.51
Pb  0.4615  0.7422  0.9091 x2  3 O 2.28-2.46
O  0.0011  0.8325  0.2994 x2  2 B 1.41-1.52
O  0.0518  0.7198  0.0244 x2  1 B 1.35
O  0.1277  0.8344  0.8241 x2  2 B 1.41-1.53
O  0.1300  0.5602  0.5564 x2  1 B 1.37
O  0.1480  0.0764  0.2993 x2  2 B 1.45-1.46
O  0.2385  0.8158  0.6079 x2  2 B 1.39-1.45
O  0.2543  0.0698  0.0834 x2  2 B 1.40-1.53
O  0.2656  0.4659  0.2602 x2  1 B 1.37
O  0.3860  0.7327  0.2054 x2  2 B 1.38-1.50
O  0.4711  0.0196  0.7895 x2  1 B 1.45
O  0.5000  0.5000  0.5000 x1  2 B 1.38


What is the formula in the second record? B4Pb6O13